(1)
A geometry-optimized PrNi structure, computed with PBE.

abc: 3.8577 10.6891 4.3391
angles: 90.00 90.00 90.00
Closest atoms and distances in Å follow each position.
Space group Cmcm (No. 63)
Unique sites:
1 Pr 0.0000 0.1374 0.2500 (multiplicity 4)  7 Ni 2.95-3.12
2 Ni 0.0000 0.4291 0.2500 (multiplicity 4)  2 Ni 2.65, 2 Pr 2.95

**Calculated density**: 7.410 g cm⁻³
**Calculated volume**: 22.37 Å³ per atom
**Total energy**: -5.5734 eV/atom
**Formation enthalpy at 0 K**: -0.6 eV per formula unit

***

(2)
A geometry-optimized PrNiSb3 structure, computed with PBE.

abc: 12.7038 6.2814 18.5741
angles: 90.00 90.00 90.00
Closest atoms and distances in Å follow each position.
Space group Pbcm (No. 57)
Unique sites:
1 Pr 0.1945 0.0591 0.2500 (multiplicity 4)  9 Sb 3.25-3.35, 2 Ni 3.30
2 Pr 0.2007 0.5277 0.0836 (multiplicity 8)  9 Sb 3.26-3.48, 2 Ni 3.42-3.60
3 Ni 0.3977 0.2500 0.0000 (multiplicity 4)  6 Sb 2.61-2.64
4 Ni 0.4009 0.6729 0.6759 (multiplicity 8)  6 Sb 2.57-2.68, 1 Ni 2.75
5 Sb 0.0037 0.2500 0.0000 (multiplicity 4)  4 Sb 3.10-3.14, 4 Pr 3.33-3.42
6 Sb 0.0035 0.7046 0.6660 (multiplicity 8)  4 Sb 3.10-3.14, 4 Pr 3.31-3.38
7 Sb 0.2758 0.0267 0.0842 (multiplicity 8)  2 Ni 2.61-2.65
8 Sb 0.2801 0.5554 0.2500 (multiplicity 4)  2 Ni 2.68
9 Sb 0.4431 0.1839 0.2500 (multiplicity 4)  4 Ni 2.57-2.68
10 Sb 0.4742 0.5411 0.0867 (multiplicity 8)  4 Ni 2.61-2.66

**Calculated density**: 7.594 g cm⁻³
**Calculated volume**: 24.70 Å³ per atom
**Total energy**: -5.2109 eV/atom
**Corrected total energy (MP2020 scheme)**: -0.391 Ry per atom
**Formation enthalpy at 0 K**: -3.7 eV per formula unit

***

(3)
A geometry-optimized PrNi2Sb2 structure, computed with PBE.

abc: 4.4756 4.4756 10.0950
angles: 90.00 90.00 90.00
Closest atoms and distances in Å follow each position.
Space group P4/nmm (No. 129, origin choice 2)
Unique sites:
1 Pr 0.2500 0.2500 0.2399 (multiplicity 2)  8 Ni 3.30-3.45, 8 Sb 3.37-3.45
2 Ni 0.2500 0.2500 0.6231 (multiplicity 2)  5 Sb 2.53-2.56
3 Ni 0.2500 0.7500 0.0000 (multiplicity 2)  4 Sb 2.57
4 Sb 0.2500 0.2500 0.8740 (multiplicity 2)  5 Ni 2.53-2.57
5 Sb 0.2500 0.7500 0.5000 (multiplicity 2)  4 Ni 2.56

**Calculated density**: 8.242 g cm⁻³
**Calculated volume**: 20.22 Å³ per atom
**Total energy**: -5.5686 eV/atom
**Corrected total energy (MP2020 scheme)**: -0.415 Ry per atom
**Formation enthalpy at 0 K**: -3.6 eV per formula unit

***

(4)
A geometry-optimized PrNiSb structure, computed with PBE.

abc: 4.3952 4.3952 4.1936
angles: 90.00 90.00 120.00
Closest atoms and distances in Å follow each position.
Space group P-6m2 (No. 187)
Unique sites:
1 Pr 0.0000 0.0000 0.0000 (multiplicity 1)  6 Ni 3.29, 6 Sb 3.29
2 Ni 0.3333 0.6667 0.5000 (multiplicity 1)  3 Sb 2.54
3 Sb 0.6667 0.3333 0.5000 (multiplicity 1)  3 Ni 2.54

**Calculated density**: 7.606 g cm⁻³
**Calculated volume**: 23.39 Å³ per atom
**Total energy**: -5.7054 eV/atom
**Corrected total energy (MP2020 scheme)**: -0.424 Ry per atom
**Formation enthalpy at 0 K**: -2.6 eV per formula unit

***

(5)
A geometry-optimized PrNiSb structure, computed with PBE.

abc: 4.3833 4.3833 8.3448
angles: 90.00 90.00 120.00
Closest atoms and distances in Å follow each position.
Space group P6_3/mmc (No. 194)
Unique sites:
1 Pr 0.0000 0.0000 0.0000 (multiplicity 2)  6 Ni 3.28, 6 Sb 3.28
2 Ni 0.3333 0.6667 0.2500 (multiplicity 2)  3 Sb 2.53
3 Sb 0.3333 0.6667 0.7500 (multiplicity 2)  3 Ni 2.53

**Calculated density**: 7.686 g cm⁻³
**Calculated volume**: 23.14 Å³ per atom
**Total energy**: -5.7206 eV/atom
**Corrected total energy (MP2020 scheme)**: -0.425 Ry per atom
**Formation enthalpy at 0 K**: -2.7 eV per formula unit

***

(6)
A geometry-optimized PrNi2Sb2 structure, computed with PBE.

abc: 4.3837 4.3837 10.6675
angles: 90.00 90.00 90.00
Closest atoms and distances in Å follow each position.
Space group I4/mmm (No. 139)
Unique sites:
1 Pr 0.0000 0.0000 0.0000 (multiplicity 2)  8 Sb 3.43, 8 Ni 3.45
2 Ni 0.0000 0.5000 0.2500 (multiplicity 4)  4 Sb 2.50
3 Sb 0.0000 0.0000 0.3630 (multiplicity 4)  4 Ni 2.50

**Calculated density**: 8.130 g cm⁻³
**Calculated volume**: 20.50 Å³ per atom
**Total energy**: -5.5184 eV/atom
**M_tot**: 0.0 μB per formula unit
**Corrected total energy (MP2020 scheme)**: -0.411 Ry per atom
**Formation enthalpy at 0 K**: -3.4 eV per formula unit

***

(7)
A geometry-optimized PrNiSb2 structure, computed with PBE.

abc: 4.4312 4.4312 9.7975
angles: 90.00 90.00 90.00
Closest atoms and distances in Å follow each position.
Space group P4/nmm (No. 129, origin choice 2)
Unique sites:
1 Pr 0.2500 0.2500 0.2420 (multiplicity 2)  4 Ni 3.24, 8 Sb 3.32-3.36
2 Ni 0.2500 0.7500 0.0000 (multiplicity 2)  4 Sb 2.56
3 Sb 0.2500 0.2500 0.8686 (multiplicity 2)  4 Ni 2.56
4 Sb 0.2500 0.7500 0.5000 (multiplicity 2)  4 Sb 3.13, 4 Pr 3.36

**Calculated density**: 7.650 g cm⁻³
**Calculated volume**: 24.05 Å³ per atom
**Total energy**: -5.4352 eV/atom
**Corrected total energy (MP2020 scheme)**: -0.407 Ry per atom
**Formation enthalpy at 0 K**: -3.3 eV per formula unit

***

(8)
A geometry-optimized PrSi2Ni2 structure, computed with PBE.

abc: 4.0700 4.0700 9.6405
angles: 90.00 90.00 90.00
Closest atoms and distances in Å follow each position.
Space group I4/mmm (No. 139)
Unique sites:
1 Pr 0.0000 0.0000 0.0000 (multiplicity 2)  8 Si 3.14, 8 Ni 3.15
2 Si 0.0000 0.0000 0.3690 (multiplicity 4)  4 Ni 2.34, 1 Si 2.52
3 Ni 0.0000 0.5000 0.2500 (multiplicity 4)  4 Si 2.34

**Calculated density**: 6.540 g cm⁻³
**Calculated volume**: 15.97 Å³ per atom
**Total energy**: -6.2314 eV/atom
**Formation enthalpy at 0 K**: -4.0 eV per formula unit

***

The highest formation enthalpy at 0 K belongs to which entry? PrNi

***

Which of these has the lowest calculated density? PrSi2Ni2

***

Which of these has the highest total energy? PrNiSb3